1.
The following is a PBE calculation of a relaxed KO2F crystal, from Materials Project.

Output
Theoretical density   2.23 g/cm³
Formation energy   -0.5643 eV per atom

a = 3.481 Å, b = 3.980 Å, c = 9.702 Å
α = 90.00°, β = 90.00°, γ = 90.00°
Space group Pmc2_1 (No. 26)
Unique sites:
K 0.000 0.096 0.000 [2 per cell]
O 0.000 0.367 0.729 [2 per cell]
O 0.500 0.314 0.262 [2 per cell]
F 0.500 0.407 0.475 [2 per cell]

2.
The following is a PBE calculation of a relaxed Sr11Ge4N6 crystal, from Materials Project.

Output
Theoretical density   4.39 g/cm³
Formation energy   -0.7029 eV per atom

a = 7.327 Å, b = 7.327 Å, c = 18.853 Å
α = 90.00°, β = 90.00°, γ = 90.00°
Space group P4/nbm (No. 125, origin choice 2)
Unique sites:
Sr 0.029 0.529 0.130 [8 per cell]
Sr 0.078 0.578 0.599 [8 per cell]
Sr 0.250 0.250 0.000 [2 per cell]
Sr 0.250 0.250 0.274 [4 per cell]
Ge 0.250 0.250 0.500 [2 per cell]
Ge 0.250 0.750 0.000 [2 per cell]
Ge 0.250 0.750 0.258 [4 per cell]
N 0.105 0.605 0.317 [8 per cell]
N 0.250 0.250 0.144 [4 per cell]

3.
The following is a PBE calculation of a relaxed ZnCr2S5 crystal, from Materials Project.

Output
Theoretical density   3.33 g/cm³
Formation energy   -0.7186 eV per atom

a = 3.628 Å, b = 13.991 Å, c = 6.476 Å
α = 90.00°, β = 90.00°, γ = 90.00°
Space group Pmmn (No. 59, origin choice 2)
Unique sites:
Zn 0.250 0.250 0.089 [2 per cell]
Cr 0.250 0.600 0.490 [4 per cell]
S 0.250 0.046 0.315 [4 per cell]
S 0.250 0.674 0.170 [4 per cell]
S 0.250 0.750 0.673 [2 per cell]

4.
The following is a PBE calculation of a relaxed LaAuO3 crystal, from Materials Project.

Output
Theoretical density   8.21 g/cm³
Formation energy   -2.3149 eV per atom

a = 4.069 Å, b = 13.263 Å, c = 5.753 Å
α = 90.00°, β = 90.00°, γ = 90.00°
Space group Pbcm (No. 57)
Unique sites:
La 0.236 0.081 0.250 [4 per cell]
Au 0.427 0.670 0.750 [4 per cell]
O 0.244 0.578 0.504 [8 per cell]
O 0.328 0.250 0.000 [4 per cell]

Copy entry 2 word for word.
The following is a PBE calculation of a relaxed Sr11Ge4N6 crystal, from Materials Project.

Output
Theoretical density   4.39 g/cm³
Formation energy   -0.7029 eV per atom

a = 7.327 Å, b = 7.327 Å, c = 18.853 Å
α = 90.00°, β = 90.00°, γ = 90.00°
Space group P4/nbm (No. 125, origin choice 2)
Unique sites:
Sr 0.029 0.529 0.130 [8 per cell]
Sr 0.078 0.578 0.599 [8 per cell]
Sr 0.250 0.250 0.000 [2 per cell]
Sr 0.250 0.250 0.274 [4 per cell]
Ge 0.250 0.250 0.500 [2 per cell]
Ge 0.250 0.750 0.000 [2 per cell]
Ge 0.250 0.750 0.258 [4 per cell]
N 0.105 0.605 0.317 [8 per cell]
N 0.250 0.250 0.144 [4 per cell]

Copy entry 3 word for word.
The following is a PBE calculation of a relaxed ZnCr2S5 crystal, from Materials Project.

Output
Theoretical density   3.33 g/cm³
Formation energy   -0.7186 eV per atom

a = 3.628 Å, b = 13.991 Å, c = 6.476 Å
α = 90.00°, β = 90.00°, γ = 90.00°
Space group Pmmn (No. 59, origin choice 2)
Unique sites:
Zn 0.250 0.250 0.089 [2 per cell]
Cr 0.250 0.600 0.490 [4 per cell]
S 0.250 0.046 0.315 [4 per cell]
S 0.250 0.674 0.170 [4 per cell]
S 0.250 0.750 0.673 [2 per cell]

Q: What is the formula in the third record?
A: ZnCr2S5